# As2W r2SCAN optimized geometry
data_As2W
_cell_length_a 9.0795
_cell_length_b 3.3502
_cell_length_c 7.7205
_cell_angle_alpha 90.00
_cell_angle_beta 119.42
_cell_angle_gamma 90.00
_space_group_name_H-M_alt 'C 1 2/m 1'
_space_group_IT_number 12
loop_
_space_group_symop_operation_xyz
'x,y,z'
'-x,-y,-z'
'-x,y,-z'
'x,-y,z'
'x+1/2,y+1/2,z'
'-x+1/2,-y+1/2,-z'
'-x+1/2,y+1/2,-z'
'x+1/2,-y+1/2,z'
loop_
_atom_site_label
_atom_site_fract_x
_atom_site_fract_y
_atom_site_fract_z
As1 0.0963 0.0000 0.3929
As2 0.1451 0.5000 0.0318
W1 0.1530 0.5000 0.7017
# Formation enthalpy at 0 K = -0.06 eV/atom
# Total DFT energy (no corrections) = -323.9 eV per cell